Compound: K2UBr5
Source: Materials Project
Functional: meta-GGA r2SCAN
Structure: relaxed

Properties
For the density, the calculation gives 4.5 g/cm³. The volume is 32.86 A^3/atom. The calculation puts the total DFT energy (no corrections) at -21.72 eV per atom.

```
K2UBr5
1.0
8.479 0.000 0.000
0.000 9.229 0.000
0.000 0.000 13.438
K Br U
8 20 4
Direct
0.553 0.004 0.328
0.553 0.496 0.328
0.053 0.504 0.172
0.947 0.004 0.828
0.447 0.504 0.672
0.947 0.496 0.828
0.447 0.996 0.672
0.053 0.996 0.172
0.666 0.750 0.792
0.430 0.250 0.493
0.167 0.955 0.420
0.334 0.250 0.208
0.570 0.750 0.507
0.667 0.045 0.080
0.930 0.750 0.007
0.628 0.250 0.817
0.070 0.250 0.993
0.872 0.250 0.317
0.834 0.750 0.292
0.166 0.250 0.708
0.333 0.955 0.920
0.833 0.045 0.580
0.167 0.545 0.420
0.128 0.750 0.683
0.667 0.455 0.080
0.372 0.750 0.183
0.333 0.545 0.920
0.833 0.455 0.580
0.923 0.750 0.505
0.077 0.250 0.495
0.423 0.250 0.995
0.577 0.750 0.005
```